1.
Below is H3PbCI3N2 after structural relaxation, with properties calculated at the PBE level.

a = 8.146 Å, b = 9.449 Å, c = 12.971 Å
α = 90.00°, β = 90.00°, γ = 90.00°
Fractional positions:
N1 0.148 0.835 0.750
I1 0.935 0.548 0.250
I2 0.156 0.178 0.989
Pb1 0.000 0.500 0.500
C1 0.929 0.061 0.250
H1 0.476 0.626 0.183
I3 0.435 0.952 0.250
I4 0.656 0.322 0.989
N2 0.511 0.568 0.250
H2 0.024 0.126 0.817
H3 0.357 0.445 0.750
Pb2 0.000 0.500 0.000
N3 0.352 0.335 0.250
H4 0.524 0.374 0.817
N4 0.648 0.665 0.750
I5 0.156 0.178 0.511
I6 0.565 0.048 0.750
N5 0.989 0.068 0.750
H5 0.976 0.874 0.317
H6 0.024 0.126 0.683
N6 0.852 0.165 0.250
Pb3 0.500 0.000 0.500
H7 0.976 0.874 0.183
C2 0.071 0.939 0.750
H8 0.524 0.374 0.683
Pb4 0.500 0.000 0.000
I7 0.656 0.322 0.511
I8 0.844 0.822 0.489
H9 0.643 0.555 0.250
I9 0.065 0.452 0.750
C3 0.429 0.439 0.250
I10 0.344 0.678 0.011
H10 0.857 0.055 0.750
H11 0.476 0.626 0.317
N7 0.011 0.932 0.250
I11 0.844 0.822 0.011
I12 0.344 0.678 0.489
C4 0.571 0.561 0.750
H12 0.143 0.945 0.250
N8 0.489 0.432 0.750

Its space-group type is Pnma, No. 62. As for the calculated volume: 24.96 Å³/atom. As for the total energy: -183.5 eV/cell.

2.
Below is H18AuN6Cl after structural relaxation, with properties calculated at the PBE level.

a = 11.674 Å, b = 14.458 Å, c = 7.392 Å
α = 90.00°, β = 90.00°, γ = 90.00°
Fractional positions:
H1 0.127 0.860 0.096
H2 0.147 0.601 0.225
H3 0.600 0.905 0.564
H4 0.687 0.408 0.585
N1 0.657 0.933 0.655
Cl1 0.000 0.286 0.250
H5 0.072 0.164 0.396
H6 0.187 0.092 0.415
Cl2 0.500 0.214 0.750
H7 0.900 0.595 0.064
H8 0.072 0.836 0.896
N2 0.657 0.067 0.155
H9 0.662 0.272 0.031
Au1 0.500 0.500 0.000
N3 0.343 0.067 0.345
N4 0.609 0.611 0.027
H10 0.873 0.140 0.904
H11 0.400 0.095 0.436
N5 0.391 0.389 0.973
H12 0.813 0.908 0.585
N6 0.717 0.325 0.063
H13 0.813 0.092 0.085
H14 0.278 0.800 0.351
H15 0.722 0.200 0.649
Au2 0.000 0.000 0.500
Cl3 0.500 0.786 0.250
H16 0.169 0.127 0.870
H17 0.338 0.272 0.469
H18 0.400 0.905 0.936
H19 0.100 0.595 0.436
H20 0.687 0.592 0.085
H21 0.278 0.200 0.851
N7 0.109 0.111 0.473
Cl4 0.000 0.714 0.750
H22 0.627 0.640 0.904
N8 0.891 0.889 0.527
H23 0.353 0.899 0.725
H24 0.928 0.164 0.104
H25 0.853 0.601 0.275
N9 0.891 0.111 0.027
N10 0.343 0.933 0.845
H26 0.369 0.000 0.825
H27 0.222 0.700 0.851
N11 0.217 0.825 0.437
H28 0.313 0.592 0.415
H29 0.869 0.500 0.175
H30 0.838 0.228 0.531
N12 0.783 0.175 0.563
N13 0.783 0.825 0.063
N14 0.843 0.567 0.155
N15 0.109 0.889 0.973
H31 0.331 0.627 0.870
H32 0.831 0.127 0.630
H33 0.778 0.300 0.149
H34 0.778 0.700 0.649
H35 0.313 0.408 0.915
N16 0.157 0.567 0.345
H36 0.572 0.336 0.604
H37 0.162 0.772 0.469
H38 0.222 0.300 0.351
H39 0.428 0.336 0.896
H40 0.928 0.836 0.604
H41 0.331 0.373 0.370
H42 0.627 0.360 0.404
H43 0.162 0.228 0.969
H44 0.600 0.095 0.064
H45 0.669 0.627 0.630
N17 0.283 0.675 0.937
H46 0.900 0.405 0.564
H47 0.838 0.772 0.031
H48 0.373 0.360 0.096
H49 0.169 0.873 0.370
H50 0.722 0.800 0.149
H51 0.147 0.399 0.725
H52 0.647 0.899 0.775
H53 0.100 0.405 0.936
H54 0.131 0.500 0.825
H55 0.869 0.500 0.675
H56 0.631 0.000 0.175
N18 0.717 0.675 0.563
H57 0.669 0.373 0.130
H58 0.187 0.908 0.915
H59 0.338 0.728 0.969
N19 0.217 0.175 0.937
H60 0.831 0.873 0.130
N20 0.157 0.433 0.845
H61 0.631 0.000 0.675
N21 0.283 0.325 0.437
H62 0.369 0.000 0.325
H63 0.873 0.860 0.404
H64 0.127 0.140 0.596
H65 0.131 0.500 0.325
H66 0.662 0.728 0.531
N22 0.609 0.389 0.527
H67 0.428 0.664 0.396
H68 0.853 0.399 0.775
H69 0.373 0.640 0.596
H70 0.353 0.101 0.225
H71 0.647 0.101 0.275
N23 0.391 0.611 0.473
Au3 0.000 0.000 0.000
Au4 0.500 0.500 0.500
N24 0.843 0.433 0.655
H72 0.572 0.664 0.104

Its space-group type is Pbcn, No. 60. As for the calculated volume: 12.00 Å³/atom. As for the total energy: -501.0 eV/cell.

3.
Below is YMg7 after structural relaxation, with properties calculated at the PBE level.

a = 6.567 Å, b = 6.567 Å, c = 6.567 Å
α = 60.00°, β = 60.00°, γ = 60.00°
Fractional positions:
Mg1 0.500 0.500 0.000
Mg2 0.500 0.500 0.500
Mg3 0.500 0.000 0.000
Mg4 0.000 0.500 0.500
Mg5 0.500 0.000 0.500
Y1 0.000 0.000 0.000
Mg6 0.000 0.500 0.000
Mg7 0.000 0.000 0.500

Its space-group type is Fm-3m, No. 225. The offset from the most stable computed form comes out at 24 meV per atom. As for the calculated volume: 25.03 Å³/atom.

4.
Below is Na6Ca4Nb8Si9S9O72 after structural relaxation, with properties calculated at the PBE level.

a = 9.006 Å, b = 9.012 Å, c = 23.326 Å
α = 89.68°, β = 90.16°, γ = 119.97°
Fractional positions:
O1 0.809 0.973 0.694
Si1 0.625 0.949 0.416
O2 0.818 0.993 0.399
O3 0.875 0.339 0.636
O4 0.169 0.991 0.305
O5 0.662 0.128 0.134
O6 0.970 0.161 0.590
O7 0.013 0.180 0.902
Si2 0.047 0.372 0.917
Nb1 0.319 0.664 0.318
O8 0.639 0.487 0.928
O9 0.466 0.164 0.253
O10 0.340 0.466 0.079
O11 0.642 0.145 0.425
Nb2 0.982 0.988 0.853
O12 0.695 0.548 0.533
O13 0.165 0.971 0.193
Na1 0.992 0.006 0.000
O14 0.870 0.531 0.133
O15 0.299 0.815 0.256
Na2 0.331 0.666 0.173
O16 0.366 0.882 0.865
O17 0.508 0.358 0.427
O18 0.174 0.206 0.698
Nb3 0.331 0.658 0.812
Nb4 0.665 0.325 0.470
O19 0.544 0.715 0.251
O20 0.813 0.807 0.301
S1 0.958 0.326 0.584
Na3 0.679 0.334 0.823
O21 0.366 0.503 0.361
Si3 0.289 0.991 0.254
O22 0.496 0.636 0.862
O23 0.838 0.537 0.753
O24 0.840 0.808 0.589
Nb5 0.678 0.341 0.977
S2 0.370 0.322 0.084
Na4 0.665 0.319 0.323
Ca1 0.674 0.335 0.691
O25 0.182 0.181 0.404
O26 0.691 0.155 0.030
O27 0.142 0.435 0.975
O28 0.466 0.336 0.135
O29 0.028 0.192 0.194
O30 0.530 0.663 0.581
O31 0.681 0.153 0.753
O32 0.837 0.034 0.085
Na5 0.000 0.001 0.494
Nb6 0.987 0.984 0.647
Si4 0.040 0.673 0.418
O33 0.571 0.718 0.975
Na6 0.332 0.672 0.661
S3 0.336 0.965 0.915
O34 0.850 0.490 0.428
O35 0.457 0.303 0.031
O36 0.521 0.809 0.759
Si5 0.703 0.991 0.751
O37 0.193 0.000 0.904
Si6 0.621 0.665 0.918
O38 0.131 0.471 0.581
O39 0.997 0.174 0.305
Si7 0.008 0.716 0.753
O40 0.143 0.721 0.476
O41 0.288 0.432 0.476
O42 0.956 0.800 0.083
O43 0.849 0.323 0.251
O44 0.525 0.875 0.078
Si8 0.013 0.302 0.254
S4 0.675 0.045 0.083
S5 0.712 0.723 0.251
O45 0.847 0.348 0.927
O46 0.299 0.866 0.967
O47 0.031 0.837 0.693
S6 0.277 0.286 0.751
O48 0.186 0.705 0.760
O49 0.455 0.150 0.532
O50 0.822 0.814 0.903
O51 0.012 0.835 0.805
O52 0.496 0.138 0.922
O53 0.448 0.310 0.748
O54 0.843 0.532 0.029
Ca2 0.336 0.663 0.016
O55 0.572 0.856 0.475
Ca3 0.332 0.670 0.514
O56 0.137 0.500 0.860
S7 0.669 0.627 0.584
O57 0.494 0.859 0.360
Nb7 0.012 0.013 0.356
Ca4 0.665 0.326 0.192
O58 0.825 0.003 0.806
O59 0.193 0.156 0.087
O60 0.805 0.831 0.196
O61 0.288 0.460 0.755
Si9 0.333 0.379 0.418
O62 0.466 0.129 0.637
O63 0.130 0.632 0.362
O64 0.125 0.658 0.076
O65 0.193 0.188 0.803
S8 0.369 0.045 0.585
O66 0.196 0.481 0.256
O67 0.991 0.818 0.401
S9 0.954 0.632 0.082
O68 0.697 0.555 0.245
O69 0.194 0.037 0.590
O70 0.659 0.535 0.637
Nb8 0.011 0.011 0.153
O71 0.339 0.871 0.582
O72 0.851 0.303 0.532

Its space-group type is P1, No. 1. As for the calculated volume: 15.19 Å³/atom. As for the total energy: -775.7 eV/cell.

5.
Below is MgCd5 after structural relaxation, with properties calculated at the PBE level.

a = 5.352 Å, b = 5.352 Å, c = 5.398 Å
α = 90.00°, β = 90.00°, γ = 120.00°
Fractional positions:
Mg1 0.000 0.000 0.500
Cd1 0.000 0.334 0.000
Cd2 0.666 0.666 0.000
Cd3 0.334 0.000 0.000
Cd4 0.667 0.333 0.500
Cd5 0.333 0.667 0.500

Its space-group type is P-62m, No. 189. As for the calculated volume: 22.32 Å³/atom. As for the total energy: -6.4 eV/cell.

6.
Below is PrErMn4Co13 after structural relaxation, with properties calculated at the PBE level.

a = 6.344 Å, b = 6.384 Å, c = 6.384 Å
α = 83.07°, β = 82.61°, γ = 82.61°
Fractional positions:
Co1 0.348 0.348 0.845
Co2 0.655 0.655 0.154
Co3 0.348 0.845 0.348
Co4 0.289 0.998 0.714
Co5 0.999 0.716 0.284
Co6 0.289 0.714 0.998
Co7 0.711 0.286 0.999
Co8 0.711 0.999 0.286
Co9 0.999 0.284 0.716
Mn1 0.106 0.099 0.099
Co10 0.501 0.998 0.998
Co11 0.844 0.345 0.345
Mn2 0.998 0.998 0.500
Mn3 0.892 0.899 0.899
Er1 0.658 0.654 0.654
Mn4 0.998 0.500 0.998
Pr1 0.345 0.349 0.349
Co12 0.155 0.658 0.658
Co13 0.655 0.154 0.655

Its space-group type is Cm, No. 8. As for the calculated volume: 13.31 Å³/atom. As for the total energy: -138.8 eV/cell.

7.
Below is Sm4Sb3 after structural relaxation, with properties calculated at the PBE level.

a = 8.144 Å, b = 8.144 Å, c = 8.144 Å
α = 109.47°, β = 109.47°, γ = 109.47°
Fractional positions:
Sb1 0.625 0.750 0.375
Sb2 0.125 0.875 0.250
Sm1 0.643 0.500 0.000
Sm2 0.000 0.643 0.500
Sb3 0.250 0.125 0.875
Sb4 0.875 0.250 0.125
Sm3 0.500 0.000 0.143
Sb5 0.750 0.375 0.625
Sb6 0.375 0.625 0.750
Sm4 0.857 0.857 0.857
Sm5 0.500 0.000 0.643
Sm6 0.000 0.143 0.500
Sm7 0.357 0.357 0.357
Sm8 0.143 0.500 0.000

Its space-group type is I-43d, No. 220. As for the calculated volume: 29.70 Å³/atom. As for the total energy: -77.2 eV/cell.

8.
Below is Ba12Br3Cl2F19 after structural relaxation, with properties calculated at the PBE level.

a = 14.364 Å, b = 14.364 Å, c = 4.398 Å
α = 90.00°, β = 90.00°, γ = 120.01°
Fractional positions:
F1 0.366 0.876 0.500
F2 0.124 0.491 0.500
F3 0.633 0.509 0.500
F4 0.191 0.375 0.000
Cl1 0.191 0.000 0.500
F5 0.816 0.624 0.000
Ba1 0.471 0.304 0.500
F6 0.000 0.566 0.000
Ba2 0.002 0.823 0.000
Ba3 0.529 0.833 0.500
F7 0.491 0.124 0.500
Br1 0.667 0.333 0.000
Ba4 0.304 0.471 0.500
F8 0.809 0.185 0.000
F9 0.185 0.809 0.000
Br2 0.809 0.809 0.500
F10 0.723 0.000 0.500
Br3 0.333 0.667 0.000
F11 0.277 0.277 0.500
F12 0.000 0.000 0.000
Ba5 0.000 0.379 0.000
Ba6 0.167 0.695 0.500
Ba7 0.178 0.178 0.000
Ba8 0.823 0.002 0.000
F13 0.624 0.816 0.000
F14 0.566 0.000 0.000
Ba9 0.833 0.529 0.500
Cl2 0.000 0.191 0.500
Ba10 0.620 0.620 0.000
F15 0.000 0.723 0.500
F16 0.876 0.366 0.500
F17 0.434 0.434 0.000
Ba11 0.379 0.000 0.000
F18 0.509 0.633 0.500
F19 0.375 0.191 0.000
Ba12 0.695 0.167 0.500

Its space-group type is Amm2, No. 38. As for the calculated volume: 21.83 Å³/atom. As for the total energy: -195.5 eV/cell.

9.
Below is Li8Ti16CuS32 after structural relaxation, with properties calculated at the PBE level.

a = 7.040 Å, b = 7.044 Å, c = 23.443 Å
α = 90.20°, β = 98.43°, γ = 119.96°
Fractional positions:
S1 0.367 0.182 0.563
S2 0.620 0.554 0.187
S3 0.878 0.439 0.817
Ti1 0.002 0.500 0.004
S4 0.881 0.183 0.563
S5 0.118 0.801 0.937
Ti2 0.744 0.118 0.875
S6 0.382 0.947 0.313
Ti3 0.752 0.627 0.376
S7 0.367 0.683 0.063
S8 0.381 0.433 0.314
S9 0.620 0.066 0.187
S10 0.882 0.697 0.563
Ti4 0.001 0.002 0.501
Li1 0.750 0.375 0.625
S11 0.619 0.567 0.686
Cu1 0.314 0.158 0.973
Ti5 0.748 0.124 0.376
Li2 0.746 0.873 0.123
S12 0.132 0.066 0.187
S13 0.623 0.811 0.934
S14 0.382 0.931 0.812
S15 0.379 0.189 0.069
S16 0.881 0.197 0.063
Li3 0.252 0.628 0.376
Ti6 0.257 0.630 0.874
Li4 0.999 0.251 0.750
Ti7 0.499 0.250 0.249
S17 0.624 0.312 0.435
Ti8 0.748 0.627 0.875
Li5 0.244 0.119 0.863
Ti9 0.750 0.875 0.625
S18 0.876 0.939 0.316
Ti10 0.499 0.748 0.747
S19 0.118 0.318 0.937
Li6 0.999 0.751 0.250
S20 0.633 0.818 0.437
S21 0.125 0.563 0.186
Ti11 0.248 0.381 0.125
S22 0.864 0.931 0.812
S23 0.881 0.683 0.064
Li7 0.499 0.500 0.500
Ti12 0.252 0.124 0.376
S24 0.636 0.319 0.937
S25 0.119 0.303 0.437
Ti13 0.755 0.377 0.125
S26 0.619 0.054 0.687
Ti14 0.250 0.875 0.625
S27 0.382 0.448 0.812
S28 0.132 0.568 0.687
S29 0.123 0.061 0.684
S30 0.118 0.817 0.437
Ti15 0.248 0.867 0.125
S31 0.867 0.433 0.313
Li8 0.000 0.248 0.250
Ti16 0.250 0.375 0.625
S32 0.377 0.689 0.566

Its space-group type is P1, No. 1. As for the calculated volume: 17.41 Å³/atom. As for the total energy: -354.2 eV/cell.